Density functional theory data (PBE) for NbS2 after structural relaxation.

Cell lengths 3.389, 3.389, 14.238 Å; angles 90.00, 90.00, 120.00 degrees
Positions (direct):
Nb 0.000 0.000 0.000
Nb 0.000 0.000 0.500
S 0.333 0.667 0.108
S 0.333 0.667 0.392
S 0.667 0.333 0.608
S 0.667 0.333 0.892

- V (Å³/cell) = 142
- crystal system = hexagonal
- SG = P6_3/mmc
- calculated total energy (eV per atom) = -7.1012


Density functional theory data (PBE) for Nb25S48 after structural relaxation.

Cell lengths 12.586, 12.586, 11.675 Å; angles 108.06, 108.06, 107.82 degrees
Positions (direct):
Nb 0.000 0.000 0.000
Nb 0.003 0.003 0.497
Nb 0.083 0.920 0.243
Nb 0.086 0.918 0.745
Nb 0.165 0.835 0.000
Nb 0.167 0.835 0.499
Nb 0.248 0.751 0.243
Nb 0.252 0.750 0.745
Nb 0.271 0.271 0.676
Nb 0.333 0.667 0.997
Nb 0.334 0.664 0.496
Nb 0.408 0.574 0.738
Nb 0.417 0.584 0.241
Nb 0.492 0.492 0.990
Nb 0.500 0.500 0.496
Nb 0.574 0.408 0.738
Nb 0.584 0.417 0.241
Nb 0.664 0.334 0.496
Nb 0.667 0.333 0.997
Nb 0.750 0.252 0.745
Nb 0.751 0.248 0.243
Nb 0.835 0.165 0.000
Nb 0.835 0.167 0.499
Nb 0.918 0.086 0.745
Nb 0.920 0.083 0.243
S 0.040 0.207 0.993
S 0.041 0.710 0.082
S 0.043 0.710 0.581
S 0.047 0.212 0.499
S 0.126 0.126 0.244
S 0.126 0.630 0.832
S 0.129 0.629 0.332
S 0.130 0.130 0.748
S 0.206 0.542 0.577
S 0.207 0.040 0.993
S 0.209 0.545 0.083
S 0.212 0.047 0.499
S 0.280 0.458 0.830
S 0.290 0.959 0.246
S 0.293 0.956 0.748
S 0.294 0.462 0.327
S 0.367 0.367 0.560
S 0.371 0.872 0.995
S 0.373 0.872 0.495
S 0.374 0.374 0.080
S 0.458 0.280 0.830
S 0.458 0.786 0.746
S 0.459 0.794 0.246
S 0.462 0.294 0.327
S 0.532 0.698 0.987
S 0.540 0.706 0.493
S 0.542 0.206 0.577
S 0.545 0.209 0.083
S 0.618 0.618 0.743
S 0.622 0.622 0.239
S 0.629 0.129 0.332
S 0.630 0.126 0.832
S 0.698 0.532 0.987
S 0.706 0.540 0.493
S 0.710 0.041 0.082
S 0.710 0.043 0.581
S 0.786 0.458 0.746
S 0.794 0.459 0.246
S 0.795 0.961 0.828
S 0.799 0.965 0.334
S 0.872 0.371 0.995
S 0.872 0.373 0.495
S 0.875 0.875 0.079
S 0.880 0.880 0.581
S 0.956 0.293 0.748
S 0.959 0.290 0.246
S 0.961 0.795 0.828
S 0.965 0.799 0.334

- V (Å³/cell) = 1497
- crystal system = monoclinic
- SG = Cm
- calculated total energy (eV per atom) = -7.2142


Density functional theory data (PBE) for NbS2 after structural relaxation.

Cell lengths 7.035, 7.035, 7.035 Å; angles 154.83, 154.83, 35.89 degrees
Positions (direct):
Nb 0.000 0.000 0.000
S 0.389 0.389 0.000
S 0.611 0.611 0.000

- V (Å³/cell) = 63
- crystal system = tetragonal
- SG = I4/mmm
- calculated total energy (eV per atom) = -6.8695


Density functional theory data (PBE) for Nb3S5 after structural relaxation.

Cell lengths 7.935, 8.920, 9.262 Å; angles 93.97, 94.85, 113.55 degrees
Positions (direct):
Nb 0.000 0.000 0.000
Nb 0.036 0.897 0.501
Nb 0.149 0.310 0.602
Nb 0.238 0.706 0.701
Nb 0.344 0.105 0.800
Nb 0.439 0.503 0.893
Nb 0.548 0.910 0.001
Nb 0.595 0.395 0.598
Nb 0.642 0.304 0.106
Nb 0.745 0.707 0.200
Nb 0.845 0.104 0.298
Nb 0.939 0.504 0.403
S 0.010 0.055 0.732
S 0.052 0.954 0.248
S 0.112 0.453 0.829
S 0.137 0.358 0.341
S 0.212 0.856 0.932
S 0.235 0.754 0.442
S 0.307 0.253 0.029
S 0.330 0.142 0.533
S 0.418 0.657 0.125
S 0.436 0.571 0.633
S 0.514 0.050 0.231
S 0.537 0.956 0.740
S 0.606 0.453 0.331
S 0.647 0.355 0.849
S 0.709 0.853 0.426
S 0.734 0.747 0.931
S 0.811 0.253 0.529
S 0.843 0.173 0.039
S 0.904 0.650 0.633
S 0.938 0.556 0.143

- V (Å³/cell) = 595
- crystal system = triclinic
- SG = P1
- calculated total energy (eV per atom) = -7.4796


Density functional theory data (PBE) for Nb7S8 after structural relaxation.

Cell lengths 6.738, 6.738, 6.463 Å; angles 90.00, 90.00, 120.00 degrees
Positions (direct):
Nb 0.000 0.000 0.000
Nb 0.041 0.520 0.995
Nb 0.480 0.520 0.995
Nb 0.480 0.959 0.995
Nb 0.521 0.041 0.498
Nb 0.521 0.479 0.498
Nb 0.959 0.479 0.498
S 0.164 0.327 0.258
S 0.164 0.836 0.258
S 0.322 0.161 0.748
S 0.333 0.667 0.714
S 0.667 0.333 0.215
S 0.673 0.836 0.258
S 0.839 0.161 0.748
S 0.839 0.678 0.748

- V (Å³/cell) = 254
- crystal system = trigonal
- SG = P3m1
- calculated total energy (eV per atom) = -7.8798


Density functional theory data (PBE) for NbS2 after structural relaxation.

Cell lengths 3.544, 5.212, 5.212 Å; angles 35.58, 90.00, 90.00 degrees
Positions (direct):
Nb 0.000 0.000 0.000
S 0.000 0.682 0.682
S 0.500 0.403 0.403

- V (Å³/cell) = 56
- crystal system = orthorhombic
- SG = Amm2
- calculated total energy (eV per atom) = -6.8470


Density functional theory data (PBE) for NbS2 after structural relaxation.

Cell lengths 22.290, 3.356, 22.163 Å; angles 87.82, 8.65, 83.53 degrees
Positions (direct):
Nb 0.000 0.000 0.000
S 0.631 0.702 0.298
S 0.702 0.631 0.369

- V (Å³/cell) = 216
- crystal system = orthorhombic
- SG = Fmm2
- calculated total energy (eV per atom) = -7.1304


Density functional theory data (PBE) for NbS2 after structural relaxation.

Cell lengths 11.852, 3.357, 11.612 Å; angles 85.86, 16.41, 77.73 degrees
Positions (direct):
Nb 0.000 0.000 0.000
S 0.265 0.402 0.598
S 0.402 0.265 0.735

- V (Å³/cell) = 112
- crystal system = orthorhombic
- SG = Fmm2
- calculated total energy (eV per atom) = -7.1318


Density functional theory data (PBE) for NbS2 after structural relaxation.

Cell lengths 3.369, 3.369, 17.462 Å; angles 90.00, 90.00, 120.00 degrees
Positions (direct):
Nb 0.333 0.667 0.250
Nb 0.667 0.333 0.750
S 0.000 0.000 0.160
S 0.000 0.000 0.340
S 0.000 0.000 0.660
S 0.000 0.000 0.840

- V (Å³/cell) = 172
- crystal system = hexagonal
- SG = P6_3/mmc
- calculated total energy (eV per atom) = -7.1354


Density functional theory data (PBE) for NbS2 after structural relaxation.

Cell lengths 6.953, 6.953, 6.953 Å; angles 28.14, 28.14, 28.14 degrees
Positions (direct):
Nb 0.000 0.000 0.000
S 0.256 0.256 0.256
S 0.744 0.744 0.744

- V (Å³/cell) = 66
- crystal system = trigonal
- SG = R-3m
- calculated total energy (eV per atom) = -7.1019


Density functional theory data (PBE) for Nb3S5 after structural relaxation.

Cell lengths 5.864, 7.190, 7.951 Å; angles 108.06, 97.09, 105.81 degrees
Positions (direct):
Nb 0.000 0.000 0.000
Nb 0.077 0.317 0.780
Nb 0.197 0.394 0.402
Nb 0.405 0.791 0.798
Nb 0.599 0.194 0.193
Nb 0.803 0.590 0.597
S 0.034 0.652 0.912
S 0.105 0.950 0.692
S 0.233 0.042 0.298
S 0.304 0.356 0.094
S 0.454 0.437 0.702
S 0.500 0.747 0.495
S 0.634 0.843 0.101
S 0.703 0.152 0.891
S 0.817 0.222 0.488
S 0.903 0.550 0.296

- V (Å³/cell) = 299
- crystal system = triclinic
- SG = P1
- calculated total energy (eV per atom) = -7.4794


Density functional theory data (PBE) for NbS2 after structural relaxation.

Cell lengths 3.377, 3.377, 6.311 Å; angles 90.00, 90.00, 120.00 degrees
Positions (direct):
Nb 0.000 0.000 0.000
S 0.333 0.667 0.754
S 0.667 0.333 0.246

- V (Å³/cell) = 62
- crystal system = trigonal
- SG = P-3m1
- calculated total energy (eV per atom) = -7.1013


Density functional theory data (PBE) for NbS2 after structural relaxation.

Cell lengths 3.360, 3.360, 39.329 Å; angles 90.00, 90.00, 119.98 degrees
Positions (direct):
Nb 0.093 0.907 0.500
Nb 0.242 0.758 0.170
Nb 0.758 0.242 0.670
Nb 0.907 0.093 0.000
S 0.092 0.908 0.631
S 0.092 0.908 0.710
S 0.426 0.574 0.460
S 0.427 0.573 0.540
S 0.573 0.427 0.040
S 0.574 0.426 0.960
S 0.908 0.092 0.131
S 0.908 0.092 0.210

- V (Å³/cell) = 385
- crystal system = orthorhombic
- SG = Cmc2_1
- calculated total energy (eV per atom) = -7.1354


Density functional theory data (PBE) for NbS3 after structural relaxation.

Cell lengths 9.819, 3.381, 14.995 Å; angles 90.00, 108.53, 90.00 degrees
Positions (direct):
Nb 0.027 0.250 0.383
Nb 0.340 0.250 0.040
Nb 0.388 0.250 0.706
Nb 0.612 0.750 0.294
Nb 0.660 0.750 0.960
Nb 0.973 0.750 0.617
S 0.073 0.750 0.269
S 0.125 0.250 0.566
S 0.166 0.750 0.068
S 0.174 0.750 0.931
S 0.223 0.750 0.748
S 0.230 0.750 0.404
S 0.409 0.750 0.589
S 0.412 0.250 0.222
S 0.460 0.250 0.906
S 0.540 0.750 0.094
S 0.588 0.750 0.778
S 0.591 0.250 0.411
S 0.770 0.250 0.596
S 0.777 0.250 0.252
S 0.826 0.250 0.069
S 0.834 0.250 0.932
S 0.875 0.750 0.434
S 0.927 0.250 0.731

- V (Å³/cell) = 472
- crystal system = monoclinic
- SG = P2_1/m
- calculated total energy (eV per atom) = -6.4006


Density functional theory data (PBE) for NbS2 after structural relaxation.

Cell lengths 3.363, 3.363, 13.249 Å; angles 90.00, 90.00, 120.00 degrees
Positions (direct):
Nb 0.000 0.000 0.250
Nb 0.000 0.000 0.750
S 0.333 0.667 0.132
S 0.333 0.667 0.368
S 0.667 0.333 0.632
S 0.667 0.333 0.868

- V (Å³/cell) = 130
- crystal system = hexagonal
- SG = P6_3/mmc
- calculated total energy (eV per atom) = -7.1386


Density functional theory data (PBE) for NbSeS after structural relaxation.

Cell lengths 3.431, 3.431, 13.455 Å; angles 90.00, 90.00, 120.00 degrees
Positions (direct):
Nb 0.000 0.000 0.240
Nb 0.000 0.000 0.760
Se 0.333 0.667 0.368
Se 0.667 0.333 0.632
S 0.333 0.667 0.128
S 0.667 0.333 0.872

- V (Å³/cell) = 137
- crystal system = trigonal
- SG = P-3m1
- calculated total energy (eV per atom) = -6.8375


Density functional theory data (PBE) for Nb5Se2S2 after structural relaxation.

Cell lengths 7.103, 7.103, 9.728 Å; angles 131.76, 131.76, 27.51 degrees
Positions (direct):
Nb 0.000 0.000 0.000
Nb 0.301 0.301 0.679
Nb 0.372 0.372 0.074
Nb 0.628 0.628 0.926
Nb 0.699 0.699 0.321
Se 0.056 0.056 0.345
Se 0.944 0.944 0.655
S 0.266 0.266 0.204
S 0.734 0.734 0.796

- V (Å³/cell) = 165
- crystal system = monoclinic
- SG = C2/m
- calculated total energy (eV per atom) = -8.0726


Density functional theory data (PBE) for Nb3SnS6 after structural relaxation.

Cell lengths 5.851, 5.851, 14.610 Å; angles 90.00, 90.00, 120.00 degrees
Positions (direct):
Nb 0.000 0.000 0.000
Nb 0.000 0.000 0.500
Nb 0.333 0.667 0.001
Nb 0.333 0.667 0.499
Nb 0.667 0.333 0.501
Nb 0.667 0.333 0.999
Sn 0.333 0.667 0.750
Sn 0.667 0.333 0.250
S 0.001 0.333 0.893
S 0.001 0.668 0.607
S 0.332 0.333 0.607
S 0.332 0.999 0.893
S 0.333 0.001 0.107
S 0.333 0.332 0.393
S 0.667 0.668 0.893
S 0.667 0.999 0.607
S 0.668 0.001 0.393
S 0.668 0.667 0.107
S 0.999 0.332 0.107
S 0.999 0.667 0.393

- V (Å³/cell) = 433
- crystal system = hexagonal
- SG = P6_322
- calculated total energy (eV per atom) = -6.9413


Density functional theory data (PBE) for NbSnS2 after structural relaxation.

Cell lengths 3.357, 3.357, 17.583 Å; angles 90.00, 90.00, 120.00 degrees
Positions (direct):
Nb 0.333 0.667 0.250
Nb 0.667 0.333 0.750
Sn 0.000 0.000 0.000
Sn 0.000 0.000 0.500
S 0.000 0.000 0.161
S 0.000 0.000 0.339
S 0.000 0.000 0.661
S 0.000 0.000 0.839

- V (Å³/cell) = 172
- crystal system = hexagonal
- SG = P6_3/mmc
- calculated total energy (eV per atom) = -6.4533